Material: Ni6Ge2B
Method: DFT, PBE-GGA
State: relaxed

Output
VASP energy (eV per atom): -5.93

a = 6.2021 Å, b = 6.2021 Å, c = 2.9563 Å
α = 90.00°, β = 90.00°, γ = 120.00°
Space group P-62m (No. 189)
Unique sites:
Ni: 0.0000 0.2352 0.0000
Ni: 0.0000 0.6195 0.5000
Ge: 0.3333 0.6667 0.0000
B: 0.0000 0.0000 0.5000

---

Material: UCu5Sn
Method: DFT, PBE-GGA
State: relaxed

Output
VASP energy (eV per atom): -5.09

a = 4.9774 Å, b = 4.9774 Å, c = 20.3104 Å
α = 90.00°, β = 90.00°, γ = 120.00°
Space group P6_3/mmc (No. 194)
Unique sites:
U: 0.0000 0.0000 0.0000
U: 0.3333 0.6667 0.2500
Cu: 0.0000 0.0000 0.2500
Cu: 0.1659 0.3319 0.6473
Cu: 0.3333 0.6667 0.5436
Cu: 0.3333 0.6667 0.7500
Sn: 0.3333 0.6667 0.0845

---

Material: PuPa3
Method: DFT, PBE-GGA
State: relaxed

Output
VASP energy (eV per atom): -10.32

a = 4.5201 Å, b = 4.5201 Å, c = 9.1768 Å
α = 90.00°, β = 90.00°, γ = 90.00°
Space group I4/mmm (No. 139)
Unique sites:
Pu: 0.0000 0.0000 0.0000
Pa: 0.0000 0.0000 0.5000
Pa: 0.0000 0.5000 0.2500

---

Material: Er2Co17
Method: DFT, PBE-GGA
State: relaxed

Output
VASP energy (eV per atom): -6.95

a = 8.2694 Å, b = 8.2694 Å, c = 8.0748 Å
α = 90.00°, β = 90.00°, γ = 120.00°
Space group P6_3/mmc (No. 194)
Unique sites:
Er: 0.0000 0.0000 0.2500
Er: 0.3333 0.6667 0.2500
Co: 0.0000 0.5000 0.0000
Co: 0.0457 0.3739 0.7500
Co: 0.1665 0.3330 0.0224
Co: 0.3333 0.6667 0.6063

---

Material: Pd7O8
Method: DFT, PBE-GGA
State: relaxed

Output
MP2020-corrected energy (eV per atom): -5.79
E above lowest polymorph (meV/atom): 0

a = 7.7873 Å, b = 5.7859 Å, c = 25.3775 Å
α = 90.00°, β = 90.25°, γ = 90.00°
Space group P2/m (No. 10)
Unique sites:
Pd: 0.0000 0.2474 0.0000
Pd: 0.0042 0.2504 0.6667
Pd: 0.1171 0.0000 0.4558
Pd: 0.1176 0.5000 0.8783
Pd: 0.1189 0.5000 0.2106
Pd: 0.1255 0.0000 0.7945
Pd: 0.1287 0.0000 0.1267
Pd: 0.1291 0.5000 0.5389
Pd: 0.2509 0.5000 0.0831
Pd: 0.2523 0.5000 0.7514
Pd: 0.2530 0.0000 0.5825
Pd: 0.3733 0.0000 0.0395
Pd: 0.3764 0.0000 0.3742
Pd: 0.3756 0.5000 0.2918
Pd: 0.3782 0.0000 0.7103
Pd: 0.3780 0.5000 0.6236
Pd: 0.3813 0.5000 0.9557
Pd: 0.4999 0.2485 0.1660
Pd: 0.5000 0.2501 0.5000
O: 0.0360 0.2713 0.7488
O: 0.0394 0.2292 0.5847
O: 0.0388 0.2705 0.0812
O: 0.2415 0.2499 0.8385
O: 0.2422 0.2572 0.1689
O: 0.2427 0.2560 0.4928
O: 0.2526 0.2499 0.3331
O: 0.2583 0.2573 0.9977
O: 0.2636 0.2524 0.6677
O: 0.4631 0.2706 0.0850
O: 0.4666 0.2254 0.5810
O: 0.4682 0.2749 0.7529

---

Material: HfMg14Ni
Method: DFT, PBE-GGA
State: relaxed

Output
E above lowest polymorph (meV/atom): 18

a = 6.2776 Å, b = 6.2776 Å, c = 10.0375 Å
α = 90.00°, β = 90.00°, γ = 120.00°
Space group P-6m2 (No. 187)
Unique sites:
Hf: 0.0000 0.0000 0.0000
Mg: 0.0103 0.5051 0.0000
Mg: 0.1581 0.3162 0.2615
Mg: 0.5022 0.0044 0.5000
Mg: 0.6667 0.3333 0.2429
Ni: 0.0000 0.0000 0.5000

---

Material: Mg3Ti2Ge3O12
Method: DFT, PBE-GGA
State: relaxed

Output
MP2020-corrected energy (eV per atom): -7.33

a = 12.1976 Å, b = 12.1976 Å, c = 12.1976 Å
α = 90.00°, β = 90.00°, γ = 90.00°
Space group Ia-3d (No. 230)
Unique sites:
Mg: 0.0000 0.2500 0.1250
Ti: 0.0000 0.0000 0.0000
Ge: 0.0000 0.2500 0.3750
O: 0.0276 0.0546 0.6549

---

Material: KH
Method: DFT, PBE-GGA
State: relaxed

Output
MP2020-corrected energy (eV per atom): -2.53

a = 5.6963 Å, b = 5.6963 Å, c = 5.6963 Å
α = 90.00°, β = 90.00°, γ = 90.00°
Space group Fm-3m (No. 225)
Unique sites:
K: 0.0000 0.0000 0.0000
H: 0.0000 0.0000 0.5000

---

Material: Ca2VN3
Method: DFT, PBE-GGA
State: relaxed

Output
MP2020-corrected energy (eV per atom): -7.01
E above lowest polymorph (meV/atom): 708

a = 5.0119 Å, b = 8.0087 Å, c = 10.9419 Å
α = 90.00°, β = 90.00°, γ = 90.00°
Space group Amm2 (No. 38)
Unique sites:
Ca: 0.0000 0.0000 0.0000
Ca: 0.0000 0.2098 0.2947
Ca: 0.5000 0.0000 0.7991
V: 0.0000 0.0000 0.5875
V: 0.5000 0.0000 0.1784
N: 0.0000 0.0000 0.7627
N: 0.0000 0.1873 0.5101
N: 0.5000 0.0000 0.0166
N: 0.5000 0.1938 0.2577

---

Material: HoAs2O2
Method: DFT, PBE-GGA
State: relaxed

Output
MP2020-corrected energy (eV per atom): -6.19

a = 10.8735 Å, b = 10.8735 Å, c = 13.5098 Å
α = 90.00°, β = 90.00°, γ = 90.00°
Space group I4_1/amd (No. 141, origin choice 2)
Unique sites:
Ho: 0.0000 0.0000 0.0000
As: 0.0000 0.1318 0.7355
O: 0.0000 0.0484 0.8487

---

Material: TaFeGe
Method: DFT, PBE-GGA
State: relaxed

Output
VASP energy (eV per atom): -8.63

a = 6.2352 Å, b = 3.8408 Å, c = 7.1190 Å
α = 90.00°, β = 90.00°, γ = 90.00°
Space group Pnma (No. 62)
Unique sites:
Ta: 0.0159 0.2500 0.1886
Fe: 0.1488 0.2500 0.5615
Ge: 0.2267 0.7500 0.3820

---

Material: Zr4Al11Si
Method: DFT, PBE-GGA
State: relaxed

Output
MP2020-corrected energy (eV per atom): -5.52

a = 3.9845 Å, b = 4.0192 Å, c = 17.2323 Å
α = 90.00°, β = 90.00°, γ = 90.00°
Space group Pmmm (No. 47)
Unique sites:
Zr: 0.0000 0.0000 0.1149
Zr: 0.5000 0.5000 0.3801
Al: 0.0000 0.0000 0.3751
Al: 0.0000 0.5000 0.0000
Al: 0.0000 0.5000 0.2497
Al: 0.0000 0.5000 0.5000
Al: 0.5000 0.0000 0.2500
Al: 0.5000 0.0000 0.5000
Al: 0.5000 0.5000 0.1263
Si: 0.5000 0.0000 0.0000

---

What did the first record say?
Material: Ni6Ge2B
Method: DFT, PBE-GGA
State: relaxed

Output
VASP energy (eV per atom): -5.93

a = 6.2021 Å, b = 6.2021 Å, c = 2.9563 Å
α = 90.00°, β = 90.00°, γ = 120.00°
Space group P-62m (No. 189)
Unique sites:
Ni: 0.0000 0.2352 0.0000
Ni: 0.0000 0.6195 0.5000
Ge: 0.3333 0.6667 0.0000
B: 0.0000 0.0000 0.5000

---

> Number 5 is which compound?

Pd7O8

---

> Number 10 is which compound?

HoAs2O2